# 1
H24RuC8S4Cl2: optimized geometry, PBE.

DFT formation energy ... -0.30 eV per atom

Cell: 8.569 14.329 15.020 Å, 90.00 90.00 90.00°
Fractional positions:
1 H 0.008 0.137 0.203
2 H 0.008 0.363 0.703
3 H 0.037 0.209 0.400
4 H 0.037 0.291 0.900
5 H 0.083 0.696 0.640
6 H 0.083 0.804 0.140
7 H 0.101 0.002 0.691
8 H 0.101 0.498 0.191
9 H 0.111 0.741 0.529
10 H 0.111 0.759 0.029
11 H 0.116 0.549 0.082
12 H 0.116 0.951 0.582
13 H 0.133 0.074 0.594
14 H 0.133 0.426 0.094
15 H 0.166 0.113 0.806
16 H 0.166 0.387 0.306
17 H 0.166 0.592 0.874
18 H 0.166 0.908 0.374
19 H 0.180 0.169 0.143
20 H 0.180 0.331 0.643
21 H 0.196 0.116 0.253
22 H 0.196 0.384 0.753
23 H 0.221 0.710 0.847
24 H 0.221 0.790 0.347
25 H 0.279 0.210 0.847
26 H 0.279 0.290 0.347
27 H 0.304 0.616 0.253
28 H 0.304 0.884 0.753
29 H 0.320 0.669 0.143
30 H 0.320 0.831 0.643
31 H 0.334 0.092 0.874
32 H 0.334 0.408 0.374
33 H 0.334 0.613 0.806
34 H 0.334 0.887 0.306
35 H 0.367 0.574 0.594
36 H 0.367 0.926 0.094
37 H 0.384 0.049 0.082
38 H 0.384 0.451 0.582
39 H 0.389 0.241 0.529
40 H 0.389 0.259 0.029
41 H 0.399 0.502 0.691
42 H 0.399 0.998 0.191
43 H 0.417 0.196 0.640
44 H 0.417 0.304 0.140
45 H 0.463 0.709 0.400
46 H 0.463 0.791 0.900
47 H 0.492 0.637 0.203
48 H 0.492 0.863 0.703
49 H 0.508 0.137 0.297
50 H 0.508 0.363 0.797
51 H 0.537 0.209 0.100
52 H 0.537 0.291 0.600
53 H 0.583 0.696 0.860
54 H 0.583 0.804 0.360
55 H 0.601 0.002 0.809
56 H 0.601 0.498 0.309
57 H 0.611 0.741 0.971
58 H 0.611 0.759 0.471
59 H 0.616 0.549 0.418
60 H 0.616 0.951 0.918
61 H 0.633 0.074 0.906
62 H 0.633 0.426 0.406
63 H 0.666 0.113 0.694
64 H 0.666 0.387 0.194
65 H 0.666 0.592 0.626
66 H 0.666 0.908 0.126
67 H 0.680 0.169 0.357
68 H 0.680 0.331 0.857
69 H 0.696 0.116 0.247
70 H 0.696 0.384 0.747
71 H 0.721 0.710 0.653
72 H 0.721 0.790 0.153
73 H 0.779 0.210 0.653
74 H 0.779 0.290 0.153
75 H 0.804 0.616 0.247
76 H 0.804 0.884 0.747
77 H 0.820 0.669 0.357
78 H 0.820 0.831 0.857
79 H 0.834 0.092 0.626
80 H 0.834 0.408 0.126
81 H 0.834 0.613 0.694
82 H 0.834 0.887 0.194
83 H 0.867 0.574 0.906
84 H 0.867 0.926 0.406
85 H 0.884 0.049 0.418
86 H 0.884 0.451 0.918
87 H 0.889 0.241 0.971
88 H 0.889 0.259 0.471
89 H 0.899 0.502 0.809
90 H 0.899 0.998 0.309
91 H 0.917 0.196 0.860
92 H 0.917 0.304 0.360
93 H 0.963 0.709 0.100
94 H 0.963 0.791 0.600
95 H 0.992 0.637 0.297
96 H 0.992 0.863 0.797
97 Ru 0.000 0.000 0.000
98 Ru 0.000 0.500 0.500
99 Ru 0.500 0.000 0.500
100 Ru 0.500 0.500 0.000
101 C 0.025 0.727 0.582
102 C 0.025 0.773 0.082
103 C 0.130 0.118 0.190
104 C 0.130 0.382 0.690
105 C 0.158 0.007 0.625
106 C 0.158 0.493 0.125
107 C 0.237 0.140 0.862
108 C 0.237 0.360 0.362
109 C 0.263 0.640 0.862
110 C 0.263 0.860 0.362
111 C 0.342 0.507 0.625
112 C 0.342 0.993 0.125
113 C 0.370 0.618 0.190
114 C 0.370 0.882 0.690
115 C 0.475 0.227 0.582
116 C 0.475 0.273 0.082
117 C 0.525 0.727 0.918
118 C 0.525 0.773 0.418
119 C 0.630 0.118 0.310
120 C 0.630 0.382 0.810
121 C 0.658 0.007 0.875
122 C 0.658 0.493 0.375
123 C 0.737 0.140 0.638
124 C 0.737 0.360 0.138
125 C 0.763 0.640 0.638
126 C 0.763 0.860 0.138
127 C 0.842 0.507 0.875
128 C 0.842 0.993 0.375
129 C 0.870 0.618 0.310
130 C 0.870 0.882 0.810
131 C 0.975 0.227 0.918
132 C 0.975 0.273 0.418
133 S 0.118 0.145 0.961
134 S 0.118 0.355 0.461
135 S 0.133 0.003 0.140
136 S 0.133 0.497 0.640
137 S 0.367 0.503 0.140
138 S 0.367 0.997 0.640
139 S 0.382 0.645 0.961
140 S 0.382 0.855 0.461
141 S 0.618 0.145 0.539
142 S 0.618 0.355 0.039
143 S 0.633 0.003 0.360
144 S 0.633 0.497 0.860
145 S 0.867 0.503 0.360
146 S 0.867 0.997 0.860
147 S 0.882 0.645 0.539
148 S 0.882 0.855 0.039
149 Cl 0.212 0.586 0.427
150 Cl 0.212 0.914 0.927
151 Cl 0.288 0.086 0.427
152 Cl 0.288 0.414 0.927
153 Cl 0.712 0.586 0.073
154 Cl 0.712 0.914 0.573
155 Cl 0.788 0.086 0.073
156 Cl 0.788 0.414 0.573


# 2
Nd2Fe15Si2H2: optimized geometry, PBE.

DFT formation energy ... -0.09 eV per atom

Cell: 6.440 6.440 6.450 Å, 97.68 97.68 82.43°
Fractional positions:
1 Nd 0.151 0.151 0.345
2 Nd 0.849 0.849 0.655
3 Fe 0.000 0.500 0.000
4 Fe 0.160 0.652 0.340
5 Fe 0.161 0.161 0.847
6 Fe 0.215 0.785 0.000
7 Fe 0.219 0.500 0.719
8 Fe 0.348 0.840 0.660
9 Fe 0.500 0.000 0.000
10 Fe 0.500 0.219 0.719
11 Fe 0.500 0.500 0.500
12 Fe 0.500 0.781 0.281
13 Fe 0.652 0.160 0.340
14 Fe 0.781 0.500 0.281
15 Fe 0.785 0.215 0.000
16 Fe 0.839 0.839 0.153
17 Fe 0.840 0.348 0.660
18 Si 0.399 0.399 0.102
19 Si 0.601 0.601 0.898
20 H 0.000 0.500 0.500
21 H 0.500 0.000 0.500